DFT (PBE) results for DySnAu after structural relaxation.

a = 4.7114 Å, b = 4.7114 Å, c = 7.4579 Å
α = 90.00°, β = 90.00°, γ = 120.00°
Space group P6_3mc (No. 186)
Inequivalent atoms, fractional coordinates:
Dy 0.0000 0.0000 0.0000 x2
Sn 0.3333 0.6667 0.2733 x2
Au 0.3333 0.6667 0.6717 x2

Summary:
- Calculated volume: 23.89 A^3/atom
- Formation energy from the elements: -0.82 eV/atom

DFT (PBE) results for NaTaO3 after structural relaxation.

a = 10.4976 Å, b = 10.4976 Å, c = 10.4976 Å
α = 90.00°, β = 90.00°, γ = 90.00°
Space group Fd-3m (No. 227, origin choice 2)
Inequivalent atoms, fractional coordinates:
Na 0.0000 0.0000 0.0000 x16
Ta 0.0000 0.0000 0.5000 x16
O 0.0699 0.3750 0.8750 x48

Summary:
- Spin magnetization: 0.00 μB/f.u.
- Calculated volume: 14.46 A^3/atom
- Energy with MP2020 corrections: -8.59 eV per atom
- Formation energy from the elements: -2.98 eV/atom

DFT (PBE) results for NdTlZn after structural relaxation.

a = 4.7896 Å, b = 4.7896 Å, c = 7.6501 Å
α = 90.00°, β = 90.00°, γ = 120.00°
Space group P6_3/mmc (No. 194)
Inequivalent atoms, fractional coordinates:
Nd 0.0000 0.0000 0.0000 x2
Tl 0.3333 0.6667 0.2500 x2
Zn 0.3333 0.6667 0.7500 x2

Summary:
- Calculated volume: 25.33 A^3/atom
- Formation energy from the elements: -0.34 eV/atom

> Which of these has the lowest formation energy from the elements?

NaTaO3